1.
Density functional theory data (PBE+U) for a relaxed Mg5Fe19O32 crystal.

Values from the calculation:
* total magnetization: 92.00 μB/cell
* E_tot: -6.56 eV/atom
* MP2020-corrected energy: -7.72 eV per atom
* space group: C2/m (12)

Unit cell a=8.544 b=8.544 c=10.460 alpha=65.80 beta=65.80 gamma=89.66
Element x y z (fractional)
Mg 0.500 0.500 0.500
Mg 0.750 0.750 0.499
Mg 0.500 0.000 0.000
Mg 0.000 0.500 0.000
Mg 0.250 0.250 0.501
O 0.864 0.864 0.252
O 0.741 0.005 0.009
O 0.494 0.758 0.993
O 0.879 0.370 0.758
O 0.612 0.122 0.754
O 0.879 0.879 0.743
O 0.993 0.758 0.505
O 0.388 0.878 0.246
O 0.136 0.136 0.748
O 0.758 0.993 0.505
O 0.506 0.242 0.007
O 0.121 0.630 0.242
O 0.005 0.741 0.009
O 0.122 0.612 0.754
O 0.367 0.367 0.747
O 0.878 0.388 0.246
O 0.007 0.242 0.495
O 0.630 0.121 0.242
O 0.752 0.511 0.489
O 0.242 0.506 0.007
O 0.629 0.629 0.743
O 0.371 0.371 0.257
O 0.248 0.489 0.511
O 0.370 0.879 0.758
O 0.121 0.121 0.257
O 0.511 0.752 0.489
O 0.259 0.995 0.991
O 0.758 0.494 0.993
O 0.995 0.259 0.991
O 0.633 0.633 0.253
O 0.489 0.248 0.511
O 0.242 0.007 0.495
Fe 0.060 0.060 0.123
Fe 0.000 0.000 0.500
Fe 0.874 0.622 0.252
Fe 0.873 0.627 0.749
Fe 0.687 0.190 0.379
Fe 0.251 0.749 0.000
Fe 0.127 0.373 0.251
Fe 0.373 0.127 0.251
Fe 0.622 0.874 0.252
Fe 0.126 0.378 0.748
Fe 0.749 0.251 0.000
Fe 0.940 0.940 0.877
Fe 0.810 0.313 0.621
Fe 0.190 0.687 0.379
Fe 0.562 0.562 0.124
Fe 0.378 0.126 0.748
Fe 0.438 0.438 0.876
Fe 0.313 0.810 0.621
Fe 0.627 0.873 0.749


2.
Density functional theory data (PBE+U) for a relaxed MgFeO3 crystal.

Values from the calculation:
* total magnetization: 0.00 μB/cell
* E_tot: -6.14 eV/atom
* MP2020-corrected energy: -7.00 eV per atom

Unit cell a=4.993 b=5.406 c=7.771 alpha=84.32 beta=93.06 gamma=90.65
Element x y z (fractional)
O 0.676 0.152 0.601
O 0.801 0.978 0.259
O 0.140 0.361 0.405
O 0.824 0.348 0.899
O 0.861 0.640 0.595
O 0.301 0.478 0.759
O 0.175 0.652 0.101
O 0.325 0.848 0.399
O 0.361 0.139 0.095
O 0.199 0.022 0.741
O 0.639 0.860 0.905
O 0.699 0.522 0.241
Mg 0.002 0.716 0.858
Mg 0.998 0.284 0.141
Mg 0.502 0.216 0.359
Mg 0.498 0.784 0.641
Fe 0.497 0.810 0.150
Fe 0.003 0.690 0.350
Fe 0.503 0.190 0.850
Fe 0.997 0.310 0.650


Q: Look up the MP2020-corrected energy of the second one.
A: -7.00 eV per atom


Q: Which of these has the highest total magnetization?
A: Mg5Fe19O32